Entry 1:
VASP calculation (PBE) on a geometry-optimized EuInO3 structure.

SG   Pm-3m, No. 221
V   73.6 Å³/cell
Total DFT energy (no corrections)   -36.89 eV per cell

Cell and atoms, written as POSCAR:
```
EuInO3
1.0
4.191 0.000 0.000
0.000 4.191 0.000
0.000 0.000 4.191
Eu In O
1 1 3
direct
0.000 0.000 0.000
0.500 0.500 0.500
0.000 0.500 0.500
0.500 0.000 0.500
0.500 0.500 0.000
```



Entry 2:
VASP calculation (PBE) on a geometry-optimized EuInO3 structure.

SG   Pnma, No. 62
V   279.6 Å³/cell
Total DFT energy (no corrections)   -153.35 eV per cell

Cell and atoms, written as POSCAR:
```
EuInO3
1.0
5.997 0.000 0.000
0.000 8.163 0.000
0.000 0.000 5.712
Eu In O
4 4 12
direct
0.062 0.250 0.015
0.438 0.750 0.515
0.562 0.250 0.485
0.938 0.750 0.985
0.000 0.000 0.500
0.000 0.500 0.500
0.500 0.000 0.000
0.500 0.500 0.000
0.061 0.750 0.371
0.188 0.564 0.816
0.188 0.936 0.816
0.312 0.064 0.316
0.312 0.436 0.316
0.439 0.250 0.871
0.561 0.750 0.129
0.688 0.564 0.684
0.688 0.936 0.684
0.812 0.064 0.184
0.812 0.436 0.184
0.939 0.250 0.629
```